## Ni6OF11 (PBE with a Hubbard U)

Data for crystalline Ni6OF11 at its relaxed geometry.

```
Ni6OF11
1.0
4.555 -3.310 0.000
4.555 3.310 0.000
-2.769 0.000 6.818
Ni O F
6 1 11
Cartesian
0.000 0.000 0.000 Ni
2.103 0.061 2.272 Ni
0.764 0.086 5.720 Ni
5.578 0.086 1.098 Ni
4.239 0.061 4.545 Ni
3.171 -3.256 3.409 Ni
4.555 1.316 0.000 O
2.095 2.084 2.245 F
0.090 0.040 2.031 F
2.019 0.036 0.243 F
4.247 2.084 4.572 F
2.221 0.047 4.302 F
4.121 0.047 2.515 F
2.105 -1.953 2.269 F
4.555 -1.300 0.000 F
4.322 0.036 6.575 F
6.251 0.040 4.787 F
4.236 -1.953 4.549 F
```

Values from the calculation:
Energy above the lowest structure with this stoichiometry in meV/atom: 1
Energy with MP2020 corrections in eV for the cell shown: -99.49
Uncorrected energy in eV per atom: -4.36
Calculated density in kg/m3: 4661
Total magnetization in μB per cell: 13.0
Energy relative to the elements in eV/atom: -2.156